DFT (PBE-GGA) results for La4TiO8 after structural relaxation.

```
data_La4TiO8
_cell_length_a 13.465
_cell_length_b 13.465
_cell_length_c 7.737
_cell_angle_alpha 90.00
_cell_angle_beta 90.00
_cell_angle_gamma 90.00
_symmetry_space_group_name_H-M 'P 4/m b m'
_symmetry_Int_Tables_number 127
_symmetry_space_group_name_Hall '-P 4 2ab'
loop_
_atom_site_label
_atom_site_fract_x
_atom_site_fract_y
_atom_site_fract_z
_atom_site_occupancy
La1 0.021 0.199 0.226 1
La2 0.223 0.723 0.000 1
La3 0.242 0.742 0.500 1
Ti1 0.000 0.000 0.500 1
Ti2 0.070 0.570 0.500 1
O1 0.000 0.000 0.254 1
O2 0.000 0.500 0.334 1
O3 0.045 0.715 0.000 1
O4 0.056 0.704 0.500 1
O5 0.095 0.124 0.500 1
O6 0.112 0.141 0.000 1
O7 0.204 0.296 0.248 1
```

Magnetic moment   0.03 μB per formula unit
Formation energy from the elements   -3.5837 eV per atom
DFT total energy   -8.3320 eV per atom

DFT (PBE-GGA) results for AgPHNO2 after structural relaxation.

```
data_AgPHNO2
_cell_length_a 11.877
_cell_length_b 7.960
_cell_length_c 10.092
_cell_angle_alpha 90.00
_cell_angle_beta 107.04
_cell_angle_gamma 90.00
_symmetry_space_group_name_H-M 'P 1 21/c 1'
_symmetry_Int_Tables_number 14
loop_
_symmetry_equiv_pos_as_xyz
'x,y,z'
'-x,-y,-z'
'-x,y+1/2,-z+1/2'
'x,-y+1/2,z+1/2'
loop_
_atom_site_label
_atom_site_fract_x
_atom_site_fract_y
_atom_site_fract_z
_atom_site_occupancy
Ag1 0.058 0.146 0.338 1
Ag2 0.259 0.058 0.730 1
Ag3 0.355 0.079 0.440 1
P1 0.171 0.719 0.950 1
P2 0.235 0.056 0.079 1
P3 0.415 0.722 0.629 1
H1 0.138 0.664 0.641 1
H2 0.347 0.748 0.893 1
H3 0.443 0.062 0.146 1
N1 0.156 0.622 0.552 1
N2 0.322 0.699 0.976 1
N3 0.374 0.521 0.633 1
O1 0.122 0.739 0.297 1
O2 0.126 0.564 0.006 1
O3 0.204 0.151 0.194 1
O4 0.220 0.154 0.945 1
O5 0.393 0.676 0.247 1
O6 0.462 0.218 0.885 1
```

Magnetic moment   0.00 μB per formula unit
Formation energy from the elements   -1.2074 eV per atom
DFT total energy   -5.9569 eV per atom

DFT (PBE-GGA) results for ScClO after structural relaxation.

```
data_ScClO
_cell_length_a 3.571
_cell_length_b 3.571
_cell_length_c 7.956
_cell_angle_alpha 90.00
_cell_angle_beta 90.00
_cell_angle_gamma 90.00
_symmetry_space_group_name_H-M 'P 4/n m m'
_symmetry_Int_Tables_number 129
loop_
_symmetry_equiv_pos_as_xyz
'x,y,z'
'-x,-y,-z'
'-y+1/2,x,z'
'y+1/2,-x,-z'
'-x+1/2,-y+1/2,z'
'x+1/2,y+1/2,-z'
'y,-x+1/2,z'
'-y,x+1/2,-z'
'x+1/2,-y,-z'
'-x+1/2,y,z'
'-y,-x,-z'
'y,x,z'
'-x,y+1/2,-z'
'x,-y+1/2,z'
'y+1/2,x+1/2,-z'
'-y+1/2,-x+1/2,z'
loop_
_atom_site_label
_atom_site_fract_x
_atom_site_fract_y
_atom_site_fract_z
_atom_site_occupancy
Sc1 0.250 0.250 0.135 1
Cl1 0.250 0.250 0.677 1
O1 0.250 0.750 0.000 1
```

Magnetic moment   0.00 μB per formula unit
Formation energy from the elements   -3.0741 eV per atom
DFT total energy   -7.2214 eV per atom

DFT (PBE-GGA) results for LiNbO3 after structural relaxation.

```
data_LiNbO3
_cell_length_a 5.302
_cell_length_b 5.569
_cell_length_c 15.149
_cell_angle_alpha 90.00
_cell_angle_beta 90.00
_cell_angle_gamma 90.00
_symmetry_space_group_name_H-M 'P b c m'
_symmetry_Int_Tables_number 57
loop_
_symmetry_equiv_pos_as_xyz
'x,y,z'
'-x,-y,-z'
'-x,-y,z+1/2'
'x,y,-z+1/2'
'x,-y+1/2,-z'
'-x,y+1/2,z'
'-x,y+1/2,-z+1/2'
'x,-y+1/2,z+1/2'
loop_
_atom_site_label
_atom_site_fract_x
_atom_site_fract_y
_atom_site_fract_z
_atom_site_occupancy
Li1 0.245 0.250 0.000 1
Li2 0.249 0.217 0.250 1
Nb1 0.257 0.735 0.125 1
O1 0.066 0.041 0.655 1
O2 0.130 0.750 0.000 1
O3 0.365 0.692 0.750 1
O4 0.436 0.078 0.095 1
```

Magnetic moment   0.00 μB per formula unit
Formation energy from the elements   -2.8697 eV per atom
DFT total energy   -7.8283 eV per atom

Question: Number 2 is which compound?
Answer: AgPHNO2

Copy entry 2 word for word.
DFT (PBE-GGA) results for AgPHNO2 after structural relaxation.

```
data_AgPHNO2
_cell_length_a 11.877
_cell_length_b 7.960
_cell_length_c 10.092
_cell_angle_alpha 90.00
_cell_angle_beta 107.04
_cell_angle_gamma 90.00
_symmetry_space_group_name_H-M 'P 1 21/c 1'
_symmetry_Int_Tables_number 14
loop_
_symmetry_equiv_pos_as_xyz
'x,y,z'
'-x,-y,-z'
'-x,y+1/2,-z+1/2'
'x,-y+1/2,z+1/2'
loop_
_atom_site_label
_atom_site_fract_x
_atom_site_fract_y
_atom_site_fract_z
_atom_site_occupancy
Ag1 0.058 0.146 0.338 1
Ag2 0.259 0.058 0.730 1
Ag3 0.355 0.079 0.440 1
P1 0.171 0.719 0.950 1
P2 0.235 0.056 0.079 1
P3 0.415 0.722 0.629 1
H1 0.138 0.664 0.641 1
H2 0.347 0.748 0.893 1
H3 0.443 0.062 0.146 1
N1 0.156 0.622 0.552 1
N2 0.322 0.699 0.976 1
N3 0.374 0.521 0.633 1
O1 0.122 0.739 0.297 1
O2 0.126 0.564 0.006 1
O3 0.204 0.151 0.194 1
O4 0.220 0.154 0.945 1
O5 0.393 0.676 0.247 1
O6 0.462 0.218 0.885 1
```

Magnetic moment   0.00 μB per formula unit
Formation energy from the elements   -1.2074 eV per atom
DFT total energy   -5.9569 eV per atom

Copy entry 2 word for word.
DFT (PBE-GGA) results for AgPHNO2 after structural relaxation.

```
data_AgPHNO2
_cell_length_a 11.877
_cell_length_b 7.960
_cell_length_c 10.092
_cell_angle_alpha 90.00
_cell_angle_beta 107.04
_cell_angle_gamma 90.00
_symmetry_space_group_name_H-M 'P 1 21/c 1'
_symmetry_Int_Tables_number 14
loop_
_symmetry_equiv_pos_as_xyz
'x,y,z'
'-x,-y,-z'
'-x,y+1/2,-z+1/2'
'x,-y+1/2,z+1/2'
loop_
_atom_site_label
_atom_site_fract_x
_atom_site_fract_y
_atom_site_fract_z
_atom_site_occupancy
Ag1 0.058 0.146 0.338 1
Ag2 0.259 0.058 0.730 1
Ag3 0.355 0.079 0.440 1
P1 0.171 0.719 0.950 1
P2 0.235 0.056 0.079 1
P3 0.415 0.722 0.629 1
H1 0.138 0.664 0.641 1
H2 0.347 0.748 0.893 1
H3 0.443 0.062 0.146 1
N1 0.156 0.622 0.552 1
N2 0.322 0.699 0.976 1
N3 0.374 0.521 0.633 1
O1 0.122 0.739 0.297 1
O2 0.126 0.564 0.006 1
O3 0.204 0.151 0.194 1
O4 0.220 0.154 0.945 1
O5 0.393 0.676 0.247 1
O6 0.462 0.218 0.885 1
```

Magnetic moment   0.00 μB per formula unit
Formation energy from the elements   -1.2074 eV per atom
DFT total energy   -5.9569 eV per atom